[1]
Below is an optimized crystal structure of Zn3P2H4O8, with properties calculated at the PBE-GGA level.

The structure in POSCAR format:
```
Zn3P2H4O8
1.0
5.3413 0.0000 0.0000
-0.1745 5.8257 0.0000
-0.5839 -0.4712 7.1919
Zn P H O
3 2 4 8
Cartesian
0.0000 0.0000 0.0000
0.5877 4.1432 2.8925
3.9953 1.2113 4.2993
1.3179 1.3050 2.5562
3.2650 4.0494 4.6357
0.7762 0.8098 6.4259
3.8067 4.5447 0.7659
4.1136 1.4146 0.4651
0.4693 3.9399 6.7268
0.8731 -0.0041 1.6889
3.7098 5.3586 5.5029
0.5553 1.1800 3.8827
4.0276 4.1744 3.3092
2.8298 1.1450 2.7500
1.7531 4.2095 4.4419
0.9361 2.5617 1.7481
3.6468 2.7927 5.4438
```

As for the formation energy from the elements: -1.206 eV per atom. Its distance to the lowest polymorph of the same formula is 0.323 eV/atom. Its total energy is -4.8687 eV per atom. As for the total magnetic moment: 4.00 μB/f.u.

[2]
Below is an optimized crystal structure of ZrP2H2O8, with properties calculated at the PBE-GGA level.

The structure in POSCAR format:
```
ZrP2H2O8
1.0
-5.7519 5.7519 5.4550
5.7519 -5.7519 5.4550
5.7519 5.7519 -5.4550
Zr P H O
4 8 8 32
Cartesian
0.0000 5.7519 2.7821
5.7519 0.0000 2.7821
0.0000 0.0000 5.5096
0.0000 0.0000 0.0546
3.5039 -0.4311 5.4824
2.2479 5.3208 5.4824
-0.4311 2.2479 2.7549
5.3208 3.5039 2.7549
2.2479 6.1830 0.0274
3.5040 0.4311 0.0274
6.1830 3.5040 -2.7001
0.4311 2.2479 8.2099
2.9549 -2.3556 4.6166
2.7970 3.3963 4.6166
3.3963 -2.9549 7.3441
3.3963 2.9549 1.8891
2.7970 8.1075 -0.8384
2.9549 2.3556 -0.8384
2.3556 8.7067 1.8891
2.3556 2.7970 7.3441
3.3787 -2.0331 5.4438
2.3731 3.7188 5.4438
-2.0331 2.3731 2.7163
3.7188 3.3787 2.7163
2.3731 7.7850 -0.0113
3.3787 2.0331 -0.0113
7.7850 3.3787 -2.7388
2.0331 2.3731 8.1713
4.2697 -0.1572 6.7693
7.2341 -0.1572 1.3143
-0.1572 1.4822 4.0418
5.5947 4.2697 4.0418
1.4822 5.9090 1.3143
4.2697 0.1572 1.3143
5.9091 4.2697 -1.4132
0.1572 1.4822 9.4969
0.1687 3.6562 2.7859
5.5831 -2.0956 2.7859
3.6562 5.5831 0.0584
9.4081 0.1687 0.0584
-0.1687 7.8475 2.7859
5.9206 2.0956 2.7859
2.0956 0.1687 5.5134
-3.6562 5.5831 5.5134
1.4903 5.8053 4.2467
4.2616 0.0535 4.2467
5.8053 4.2616 1.5192
0.0535 1.4903 1.5192
-1.4903 5.6984 4.2467
1.4903 5.6984 -1.2083
-0.0535 1.4903 6.9743
5.6984 4.2616 -3.9358
```

As for the formation energy from the elements: -2.688 eV per atom. Its total energy is -7.3226 eV per atom. As for the total magnetic moment: 0.01 μB/f.u.

[3]
Below is an optimized crystal structure of ZrP2H2O6, with properties calculated at the PBE-GGA level.

The structure in POSCAR format:
```
ZrP2H2O6
1.0
2.7585 -4.7779 0.0000
2.7585 4.7779 0.0000
0.0000 0.0000 5.6238
Zr P H O
1 2 2 6
Cartesian
0.0000 0.0000 0.0000
2.7585 -1.5927 3.9832
2.7585 1.5927 1.6406
2.7585 -1.5927 2.5790
2.7585 1.5927 3.0448
1.4428 -0.9400 4.4246
3.9816 -0.7795 4.4246
2.8512 -3.0585 4.4246
4.0743 0.9400 1.1991
1.5355 0.7795 1.1991
2.6659 3.0585 1.1991
```

As for the formation energy from the elements: -2.497 eV per atom. Its total energy is -7.1997 eV per atom. As for the total magnetic moment: 0.00 μB/f.u.

[4]
Below is an optimized crystal structure of ZrP2H2O6, with properties calculated at the PBE-GGA level.

The structure in POSCAR format:
```
ZrP2H2O6
1.0
-4.3512 0.4633 -3.3613
1.7861 -4.9918 1.5287
-3.5622 0.1436 4.6310
Zr P H O
1 2 2 6
Cartesian
0.0000 0.0000 0.0000
-4.8625 -1.2520 1.5930
-1.2647 -3.1329 1.2054
-4.0067 -1.2865 0.4805
-2.1205 -3.0984 2.3179
-4.0702 -0.6163 2.7430
-0.0509 -3.9822 1.6051
-0.8744 -1.6807 0.9003
-2.0570 -3.7686 0.0553
-6.0763 -0.4028 1.1933
-5.2528 -2.7042 1.8981
```

As for the formation energy from the elements: -2.501 eV per atom. Its total energy is -7.2031 eV per atom. As for the total magnetic moment: 0.00 μB/f.u.

[5]
Below is an optimized crystal structure of ZrP2HO7, with properties calculated at the PBE-GGA level.

The structure in POSCAR format:
```
ZrP2HO7
1.0
3.0912 4.2944 1.5215
-3.1268 -2.5949 3.7151
9.1517 -7.4684 2.4860
Zr P H O
2 4 2 14
Cartesian
6.9442 -5.6669 1.8863
2.2075 -1.8014 0.5996
4.4980 -0.8415 3.1979
4.6182 -4.9274 4.5247
9.2241 -4.6983 4.4817
-0.1080 -1.0706 3.2409
1.1361 1.9020 2.2847
7.9800 -7.6709 5.4380
9.8459 -3.3380 4.1395
-0.7297 -2.4309 3.5831
8.4713 -5.3050 3.2903
0.6449 -0.4638 4.4323
8.3527 -4.6339 5.7430
0.7634 -1.1350 1.9796
5.6657 -1.7944 3.5151
3.4505 -3.9745 4.2075
5.4315 -4.3735 5.7111
3.6847 -1.3954 2.0116
5.5353 -5.0514 3.2922
3.5808 -0.7175 4.4304
4.0665 -6.3192 4.8911
5.0497 0.5503 2.8315
```

As for the formation energy from the elements: -2.573 eV per atom. Its total energy is -7.3538 eV per atom. As for the total magnetic moment: 0.98 μB/f.u.

[6]
Below is an optimized crystal structure of H2PbO2, with properties calculated at the PBE-GGA level.

The structure in POSCAR format:
```
H2PbO2
1.0
4.5052 0.0000 0.0000
0.0000 7.5486 0.0000
0.0000 0.0000 9.8705
H Pb O
8 4 8
Cartesian
1.1263 1.7170 9.5466
1.1263 2.0573 4.6114
3.3789 5.8316 0.3238
3.3789 5.4913 5.2590
1.1263 0.5731 6.9343
1.1263 3.2012 1.9991
3.3789 6.9755 2.9362
3.3789 4.3474 7.8714
1.1263 3.1033 7.1548
1.1263 0.6710 2.2196
3.3789 4.4453 2.7156
3.3789 6.8776 7.6508
1.1263 2.1156 0.5717
1.1263 1.6587 5.5069
3.3789 5.4330 9.2988
3.3789 5.8899 4.3636
1.1263 0.4754 7.9218
1.1263 3.2989 2.9866
3.3789 7.0732 1.9486
3.3789 4.2497 6.8838
```

As for the formation energy from the elements: -1.185 eV per atom. Its total energy is -4.9892 eV per atom. As for the total magnetic moment: 0.00 μB/f.u.

[7]
Below is an optimized crystal structure of H2Pb3O4, with properties calculated at the PBE-GGA level.

The structure in POSCAR format:
```
H2Pb3O4
1.0
-6.0144 -2.0284 5.3780
4.8596 -5.9514 3.1900
3.4863 6.1876 6.2326
H Pb O
8 12 16
Cartesian
2.6003 -1.6608 10.7976
1.4058 2.8407 6.9968
0.8396 -4.8759 7.8115
3.0575 -2.6894 4.6820
-2.4006 -2.0749 7.1250
-0.8227 1.0785 10.2746
4.9659 0.3448 7.7650
-0.3198 -0.1318 3.7502
2.1354 0.8248 9.1337
0.1961 -2.6170 5.6669
2.5167 4.4667 4.4992
0.9696 1.7209 1.7334
0.0082 -2.2131 9.4055
2.3477 0.4642 5.4388
-1.8281 -5.9501 6.9798
3.3353 -2.4211 7.6506
-1.0282 0.5856 7.1064
-0.1616 3.9956 10.3991
5.9550 0.3565 10.5905
0.6977 -1.9863 1.6319
2.6518 -1.7088 12.7016
2.2718 4.5172 6.7331
1.1687 -3.0057 7.6559
3.8772 -4.1721 3.8103
-0.3900 -0.0903 2.7596
5.8827 0.4526 8.1339
-1.2582 1.8248 10.7660
-1.4631 -1.8239 7.3402
2.6013 -2.0862 5.3271
0.4285 -5.7715 7.9419
1.1898 1.8747 7.0879
2.3350 -1.5489 9.8462
0.2686 -0.3735 5.5462
3.1716 -0.1949 7.4193
0.0540 -0.0103 8.9799
-4.1378 -2.2206 6.3563
```

As for the formation energy from the elements: -1.405 eV per atom. The calculation puts the maximum piezoelectric response at 0.2 C/m2. Its total energy is -5.2906 eV per atom.

[8]
Below is an optimized crystal structure of H2PdPb2O4, with properties calculated at the PBE-GGA level.

The structure in POSCAR format:
```
H2PdPb2O4
1.0
-0.9953 -1.2514 6.2671
-1.4277 -6.5084 -0.1485
7.3870 -4.1638 2.9608
H Pd Pb O
4 2 4 8
Cartesian
-0.5828 -7.7038 4.3280
5.5469 -4.2198 4.7515
0.9097 -4.4140 3.3034
4.0543 -7.5096 5.7761
0.0000 0.0000 0.0000
2.4820 -5.9618 4.5397
3.5427 -5.5209 8.0692
1.4214 -6.4026 1.0103
4.9334 -7.6021 3.1164
0.0306 -4.3215 5.9631
3.2143 -5.8765 2.6592
1.7497 -6.0471 6.4202
5.2396 -7.0436 8.6610
-0.2755 -4.8799 0.4185
0.6229 -1.8874 5.1293
4.3411 -10.0362 3.9501
4.2649 -6.7204 5.2400
0.6991 -5.2032 3.8394
```

As for the formation energy from the elements: -1.126 eV per atom. Its total energy is -5.1744 eV per atom. As for the total magnetic moment: 0.01 μB/f.u.

[9]
Below is an optimized crystal structure of H2Pb4SO8, with properties calculated at the PBE-GGA level.

The structure in POSCAR format:
```
H2Pb4SO8
1.0
-6.4802 0.0000 0.0000
-0.2449 -7.5934 0.0000
2.0079 2.5631 10.0287
H Pb S O
4 8 2 16
Cartesian
-1.7917 -4.5409 7.0235
-2.9255 -0.4894 3.0052
0.1980 -3.9080 6.7932
-4.9152 -1.1223 3.2355
0.3327 -2.1939 9.7744
-5.0499 -2.8363 0.2543
0.4059 1.6532 9.9754
-5.1231 -6.6834 0.0533
-3.8372 -2.1999 6.8153
-0.8800 -2.8303 3.2134
-4.1956 -5.8148 6.8248
-0.5216 0.7845 3.2039
-0.6354 -0.0750 6.7627
-4.0818 -4.9553 3.2660
-2.1245 -0.8919 2.6029
-2.5927 -4.1383 7.4258
-0.8058 -2.8963 0.9353
-3.9114 -2.1339 9.0934
0.9822 -3.8818 7.3801
-5.6994 -1.1484 2.6486
-3.9253 1.5640 9.1502
-0.7919 -6.5942 0.8785
0.5781 -0.3337 7.6382
-5.2953 -4.6966 2.3905
-1.8732 -0.2975 7.5904
-2.8440 -4.7327 2.4383
-0.6188 -1.0057 5.6088
-4.0984 -4.0245 4.4199
-0.5874 1.3483 6.3002
-4.1298 -6.3786 3.7285
```

As for the formation energy from the elements: -1.627 eV per atom. Its total energy is -5.6177 eV per atom. As for the total magnetic moment: 0.00 μB/f.u.

[10]
Below is an optimized crystal structure of PrH3O3, with properties calculated at the PBE-GGA level.

The structure in POSCAR format:
```
PrH3O3
1.0
3.7388 0.0000 0.0000
0.0000 6.5557 0.0000
0.0000 3.1861 5.7534
Pr H O
2 6 6
Cartesian
0.9347 6.5264 3.8388
2.8041 3.2154 1.9145
0.9347 5.0900 0.8449
0.9347 3.2807 4.0376
0.9347 1.3291 0.7104
2.8041 4.6518 4.9085
2.8041 6.4610 1.7158
2.8041 8.4127 5.0430
0.9347 4.9407 1.8064
0.9347 2.4928 3.4678
0.9347 2.2667 0.4438
2.8041 4.8011 3.9470
2.8041 7.2489 2.2856
2.8041 7.4751 5.3095
```

As for the formation energy from the elements: -2.200 eV per atom. Its distance to the lowest polymorph of the same formula is 0.002 eV/atom. Its total energy is -6.1631 eV per atom. As for the total magnetic moment: 0.00 μB/f.u.

[11]
Below is an optimized crystal structure of PrH3O3, with properties calculated at the PBE-GGA level.

The structure in POSCAR format:
```
PrH3O3
1.0
3.2491 -5.6277 0.0000
3.2491 5.6277 0.0000
0.0000 0.0000 3.7958
Pr H O
2 6 6
Cartesian
3.2491 1.8759 0.9489
3.2491 -1.8759 2.8468
5.1566 -0.7748 0.9489
3.2489 -4.0783 0.9489
1.3419 -0.7745 0.9489
1.3417 0.7748 2.8468
3.2493 4.0783 2.8468
5.1564 0.7745 2.8468
4.9630 -1.7288 0.9489
2.5196 -3.4336 0.9489
2.2648 -0.4652 0.9489
1.5353 1.7288 2.8468
3.9787 3.4336 2.8468
4.2334 0.4652 2.8468
```

As for the formation energy from the elements: -2.202 eV per atom. Its distance to the lowest polymorph of the same formula is 0.000 eV/atom. Its total energy is -6.1650 eV per atom.

[12]
Below is an optimized crystal structure of PrH3O3, with properties calculated at the PBE-GGA level.

The structure in POSCAR format:
```
PrH3O3
1.0
3.7706 0.0000 0.0000
0.0000 6.5613 0.0000
0.0000 3.2195 5.7581
Pr H O
2 6 6
Cartesian
0.0000 6.5063 3.8274
1.8853 3.2711 1.8660
0.0000 1.3746 0.8125
0.0000 3.1434 3.9629
0.0000 5.1624 0.8062
1.8853 8.4180 4.9159
1.8853 6.5545 1.6442
1.8853 4.6005 4.9378
0.0000 1.5699 1.7678
0.0000 3.9424 3.4111
0.0000 4.2508 0.4703
1.8853 8.2019 3.9651
1.8853 5.8100 2.2690
1.8853 5.5273 5.2308
```

As for the formation energy from the elements: -2.200 eV per atom. Its distance to the lowest polymorph of the same formula is 0.002 eV/atom. Its total energy is -6.1627 eV per atom. As for the total magnetic moment: 0.00 μB/f.u.